Record 1
Ca2AlPt2 | r2SCAN | optimized geometry

Formation energy = -1092.1 meV per atom

Geometry as POSCAR:
```
Ca2AlPt2
1.0
-4.131 -1.508 3.640
1.257 -3.303 4.484
0.945 5.391 5.430
Ca Al Pt
4 2 4
direct
0.782 0.517 0.852 Ca
0.483 0.218 0.648 Ca
0.218 0.483 0.148 Ca
0.517 0.782 0.352 Ca
0.110 0.890 0.750 Al
0.890 0.110 0.250 Al
0.004 0.737 0.504 Pt
0.263 0.996 0.996 Pt
0.996 0.263 0.496 Pt
0.737 0.004 0.004 Pt
```

Record 2
AsCl5 | r2SCAN | optimized geometry

Formation energy = -486.2 meV per atom

Geometry as POSCAR:
```
AsCl5
1.0
6.370 0.000 0.000
0.000 7.244 0.000
0.000 0.000 7.744
As Cl
2 10
direct
0.824 0.250 0.750 As
0.176 0.750 0.250 As
0.826 0.250 0.461 Cl
0.826 0.250 0.039 Cl
0.351 0.497 0.250 Cl
0.351 0.003 0.250 Cl
0.649 0.997 0.750 Cl
0.649 0.503 0.750 Cl
0.839 0.750 0.250 Cl
0.161 0.250 0.750 Cl
0.174 0.750 0.961 Cl
0.174 0.750 0.539 Cl
```

Record 3
NaSbCl6 | r2SCAN | optimized geometry

Formation energy = -1104.6 meV per atom

Geometry as POSCAR:
```
NaSbCl6
1.0
-4.050 4.668 1.710
-4.831 -3.175 -2.774
-1.953 -5.064 9.199
Na Sb Cl
2 2 12
direct
0.000 0.000 0.750 Na
0.000 0.000 0.250 Na
0.500 0.000 0.500 Sb
0.000 0.500 0.000 Sb
0.786 0.194 0.000 Cl
0.806 0.786 0.500 Cl
0.194 0.214 0.500 Cl
0.214 0.806 0.000 Cl
0.217 0.349 0.158 Cl
0.651 0.217 0.658 Cl
0.349 0.783 0.658 Cl
0.783 0.651 0.158 Cl
0.783 0.651 0.842 Cl
0.349 0.783 0.342 Cl
0.651 0.217 0.342 Cl
0.217 0.349 0.842 Cl
```

Record 4
HoMnO3 | r2SCAN | optimized geometry

Formation energy = -3102.9 meV per atom

Geometry as POSCAR:
```
HoMnO3
1.0
-4.618 0.688 3.984
-0.773 -3.164 -5.202
3.185 -9.562 5.343
Ho Mn O
6 6 18
direct
0.001 0.001 0.340 Ho
0.999 0.999 0.840 Ho
0.670 0.336 0.295 Ho
0.336 0.670 0.295 Ho
0.330 0.664 0.795 Ho
0.664 0.330 0.795 Ho
0.659 0.659 0.066 Mn
0.326 0.992 0.064 Mn
0.992 0.326 0.064 Mn
0.341 0.341 0.566 Mn
0.674 0.008 0.564 Mn
0.008 0.674 0.564 Mn
0.361 0.361 0.402 O
0.004 0.643 0.400 O
0.643 0.004 0.400 O
0.639 0.639 0.902 O
0.996 0.357 0.900 O
0.357 0.996 0.900 O
0.693 0.693 0.229 O
0.001 0.307 0.228 O
0.307 0.001 0.228 O
0.307 0.307 0.729 O
0.999 0.693 0.728 O
0.693 0.999 0.728 O
0.984 0.984 0.541 O
0.016 0.016 0.041 O
0.683 0.349 0.084 O
0.349 0.683 0.084 O
0.317 0.651 0.584 O
0.651 0.317 0.584 O
```

Record 5
Rh2O3 | r2SCAN | optimized geometry

Formation energy = -910.2 meV per atom

Geometry as POSCAR:
```
Rh2O3
1.0
5.164 0.000 0.000
0.000 5.452 0.000
0.000 0.000 14.758
Rh O
16 24
direct
0.499 0.681 0.076 Rh
0.001 0.319 0.576 Rh
0.501 0.248 0.678 Rh
0.499 0.748 0.822 Rh
0.999 0.752 0.178 Rh
0.001 0.252 0.322 Rh
0.501 0.252 0.178 Rh
0.499 0.752 0.322 Rh
0.999 0.819 0.924 Rh
0.499 0.819 0.576 Rh
0.999 0.681 0.424 Rh
0.501 0.181 0.424 Rh
0.999 0.748 0.678 Rh
0.001 0.248 0.822 Rh
0.001 0.181 0.076 Rh
0.501 0.319 0.924 Rh
0.801 0.469 0.124 O
0.151 0.842 0.052 O
0.643 0.113 0.297 O
0.301 0.469 0.376 O
0.357 0.887 0.703 O
0.301 0.031 0.876 O
0.151 0.658 0.552 O
0.349 0.158 0.552 O
0.143 0.113 0.203 O
0.651 0.842 0.448 O
0.699 0.531 0.624 O
0.199 0.531 0.876 O
0.143 0.387 0.703 O
0.849 0.158 0.948 O
0.651 0.658 0.948 O
0.349 0.342 0.052 O
0.849 0.342 0.448 O
0.357 0.613 0.203 O
0.643 0.387 0.797 O
0.801 0.031 0.624 O
0.699 0.969 0.124 O
0.199 0.969 0.376 O
0.857 0.887 0.797 O
0.857 0.613 0.297 O
```

Record 6
Tl2MoO4 | r2SCAN | optimized geometry

Formation energy = -1689.0 meV per atom
Energy above the lowest structure with this stoichiometry = 9 meV/atom

Geometry as POSCAR:
```
Tl2MoO4
1.0
-5.393 -1.322 -2.718
5.239 -2.464 -2.167
-0.962 -6.510 5.075
Tl Mo O
4 2 8
direct
0.333 0.667 0.820 Tl
0.000 0.000 0.000 Tl
0.667 0.333 0.180 Tl
0.000 0.000 0.500 Tl
0.667 0.333 0.683 Mo
0.333 0.667 0.317 Mo
0.178 0.357 0.243 O
0.667 0.333 0.470 O
0.822 0.178 0.757 O
0.822 0.643 0.757 O
0.643 0.822 0.243 O
0.357 0.178 0.757 O
0.178 0.822 0.243 O
0.333 0.667 0.530 O
```

Record 7
TiCo | r2SCAN | optimized geometry

Formation energy = -407.1 meV per atom

Geometry as POSCAR:
```
TiCo
1.0
2.986 0.000 0.000
0.000 2.986 0.000
0.000 0.000 2.986
Ti Co
1 1
direct
0.000 0.000 0.000 Ti
0.500 0.500 0.500 Co
```

Record 8
CeSe2O6 | r2SCAN | optimized geometry

Formation energy = -1804.4 meV per atom

Geometry as POSCAR:
```
CeSe2O6
1.0
10.747 0.000 0.000
0.000 7.072 0.009
0.000 5.030 6.986
Ce Se O
4 8 24
direct
0.096 0.248 0.011 Ce
0.596 0.752 0.489 Ce
0.904 0.752 0.989 Ce
0.404 0.248 0.511 Ce
0.284 0.811 0.430 Se
0.784 0.189 0.070 Se
0.716 0.189 0.570 Se
0.216 0.811 0.930 Se
0.927 0.720 0.565 Se
0.427 0.280 0.935 Se
0.073 0.280 0.435 Se
0.573 0.720 0.065 Se
0.243 0.947 0.198 O
0.743 0.053 0.302 O
0.757 0.053 0.802 O
0.257 0.947 0.698 O
0.399 0.997 0.409 O
0.899 0.003 0.091 O
0.601 0.003 0.591 O
0.101 0.997 0.909 O
0.394 0.613 0.460 O
0.894 0.387 0.040 O
0.606 0.387 0.540 O
0.106 0.613 0.960 O
0.021 0.483 0.710 O
0.521 0.517 0.790 O
0.979 0.517 0.290 O
0.479 0.483 0.210 O
0.913 0.848 0.683 O
0.413 0.152 0.817 O
0.087 0.152 0.317 O
0.587 0.848 0.183 O
0.784 0.587 0.619 O
0.284 0.413 0.881 O
0.216 0.413 0.381 O
0.716 0.587 0.119 O
```